# 1
Compound: TaPCl10
Source: Materials Project
Functional: r²SCAN
Structure: relaxed

Calculated values
calculated formation energy	-13.54	eV/f.u.
theoretical density	2.80	Mg/m³
E	-0.81252	Ry per atom
crystal system	triclinic

Cell: 7.010 7.346 13.606 Å, 90.41 91.83 106.29°
Positions (direct):
Cl (0.235, 0.297, 0.478)
Cl (0.306, 0.080, 0.921)
Cl (0.522, 0.412, 0.727)
Cl (0.121, 0.523, 0.691)
Cl (0.128, 0.819, 0.114)
Cl (0.238, 0.841, 0.457)
Cl (0.762, 0.159, 0.543)
Cl (0.662, 0.410, 0.098)
Cl (0.472, 0.157, 0.278)
Cl (0.879, 0.477, 0.309)
Cl (0.103, 0.006, 0.666)
Cl (0.765, 0.703, 0.522)
Cl (0.478, 0.588, 0.273)
Cl (0.338, 0.590, 0.902)
Cl (0.117, 0.273, 0.103)
Cl (0.897, 0.994, 0.334)
Cl (0.883, 0.727, 0.897)
Cl (0.528, 0.843, 0.722)
Cl (0.694, 0.920, 0.079)
Cl (0.872, 0.181, 0.886)
P (0.623, 0.407, 0.239)
P (0.377, 0.593, 0.761)
Ta (0.000, 0.000, 0.500)
Ta (0.000, 0.000, 0.000)


# 2
Compound: HoInPd2
Source: Materials Project
Functional: r²SCAN
Structure: relaxed

Calculated values
calculated formation energy	-3.56	eV/f.u.
theoretical density	10.75	Mg/m³
E	-1.92831	Ry per atom
crystal system	cubic

Cell: 4.757 4.757 4.757 Å, 60.00 60.00 60.00°
Positions (direct):
Ho (0.250, 0.250, 0.250)
Pd (0.500, 0.500, 0.500)
Pd (0.000, 0.000, 0.000)
In (0.750, 0.750, 0.750)